(1)
! Ba2TmMgCu3O7, optimized geometry, DFT PBE-GGA; values from VASP
&SYSTEM
  ibrav = 0, nat = 14, ntyp = 5
/
ATOMIC_SPECIES
Ba 137.33 Ba.upf
Tm 168.93 Tm.upf
Mg 24.30 Mg.upf
Cu 63.55 Cu.upf
O 16.00 O.upf
CELL_PARAMETERS angstrom
-1.063 2.762 -2.312
-0.242 -2.701 -3.115
-12.492 -2.316 2.977
ATOMIC_POSITIONS angstrom
Ba -3.517 -0.350 -1.851
Ba -10.252 -1.599 -0.245
Tm -6.890 -1.031 -1.113
Mg -0.708 -0.594 -3.434
Cu -7.838 -4.016 -1.193
Cu -5.120 -3.512 -1.841
Cu -0.030 -0.332 -0.383
O -5.649 -2.148 -3.019
O -10.684 -2.151 2.343
O -8.376 -2.654 -2.369
O -5.000 -2.168 -0.290
O -7.718 -2.671 0.358
O -1.839 -0.511 0.235
O -0.143 -1.603 -1.849
! * V: 202.4 Å³/cell
! * space-group type: No. 25



(2)
! Ba2TmMgCu3O7, optimized geometry, DFT PBE-GGA; values from VASP
&SYSTEM
  ibrav = 0, nat = 14, ntyp = 5
/
ATOMIC_SPECIES
Ba 137.33 Ba.upf
Tm 168.93 Tm.upf
Mg 24.30 Mg.upf
Cu 63.55 Cu.upf
O 16.00 O.upf
CELL_PARAMETERS angstrom
-1.989 0.498 -2.922
2.163 -4.508 -2.424
-7.910 -6.127 4.338
ATOMIC_POSITIONS angstrom
Ba -1.586 -2.467 -1.569
Ba -6.722 -6.446 1.247
Tm -3.265 -6.250 -1.072
Mg -3.488 -4.277 1.309
Cu -3.969 -8.294 0.986
Cu -0.374 -5.510 -0.986
Cu -0.179 -3.228 -4.886
O -3.612 -2.451 0.401
O -6.798 -5.458 3.650
O -5.493 -3.908 1.432
O -3.747 -4.492 -2.671
O -5.595 -5.923 -1.658
O -1.001 -0.968 0.471
O -0.904 -1.734 -4.097
! * V: 216.3 Å³/cell
! * space-group type: No. 6



(2) is the most stable structure; the next one sits 0.092 eV/atom above it.



(1)
! LuFe10Si2, optimized geometry, DFT PBE-GGA; values from VASP
&SYSTEM
  ibrav = 0, nat = 13, ntyp = 3
/
ATOMIC_SPECIES
Lu 174.97 Lu.upf
Fe 55.84 Fe.upf
Si 28.09 Si.upf
CELL_PARAMETERS angstrom
0.000 5.776 5.850
2.385 0.000 5.850
2.385 5.776 0.000
ATOMIC_POSITIONS angstrom
Lu 0.000 0.000 0.000
Fe 2.385 2.088 3.772
Fe 2.385 9.465 7.929
Fe 2.385 9.465 3.772
Fe 2.385 2.088 7.929
Fe 1.193 5.776 2.925
Fe 1.193 0.000 2.925
Fe 2.385 4.503 7.127
Fe 2.385 7.049 4.573
Fe 2.385 7.049 7.127
Fe 2.385 4.503 4.573
Si 1.193 2.888 0.000
Si 1.193 2.888 5.850
! * V: 161.2 Å³/cell
! * space-group type: No. 69



(2)
! LuFe10Si2, optimized geometry, DFT PBE-GGA; values from VASP
&SYSTEM
  ibrav = 0, nat = 13, ntyp = 3
/
ATOMIC_SPECIES
Lu 174.97 Lu.upf
Fe 55.84 Fe.upf
Si 28.09 Si.upf
CELL_PARAMETERS angstrom
0.000 0.000 4.749
-4.121 4.153 2.374
-4.121 -4.153 -2.374
ATOMIC_POSITIONS angstrom
Lu 0.000 0.000 0.000
Fe -4.121 -1.159 2.374
Fe -4.121 1.159 2.374
Fe -2.916 0.000 0.000
Fe -5.325 0.000 0.000
Fe -6.537 0.000 2.374
Fe -1.705 0.000 2.374
Fe -2.060 -2.077 1.187
Fe -2.060 -2.077 -1.187
Fe -2.060 2.077 3.561
Fe -2.060 2.077 1.187
Si -4.121 2.228 4.749
Si -4.121 -2.228 0.000
! * V: 162.5 Å³/cell
! * space-group type: No. 71



(2) is the most stable structure; the next one sits 0.067 eV/atom above it.



(1)
! HoIO9, optimized geometry, DFT PBE-GGA; values from VASP
&SYSTEM
  ibrav = 0, nat = 44, ntyp = 3
/
ATOMIC_SPECIES
Ho 164.93 Ho.upf
I 126.90 I.upf
O 16.00 O.upf
CELL_PARAMETERS angstrom
11.284 0.000 0.000
0.000 7.632 0.000
0.000 6.068 8.630
ATOMIC_POSITIONS angstrom
Ho 0.980 3.220 2.644
Ho 6.622 7.446 1.671
Ho 10.304 10.481 5.987
Ho 4.662 6.254 6.959
I 3.713 1.501 1.977
I 9.355 9.165 2.339
I 7.570 12.199 6.654
I 1.928 4.535 6.292
O 4.818 0.952 0.463
O 10.460 9.714 3.853
O 6.465 12.748 8.168
O 0.823 3.986 4.778
O 5.209 3.199 2.151
O 10.851 7.467 2.165
O 6.075 10.502 6.480
O 0.433 6.233 6.466
O 2.504 2.455 0.932
O 8.146 8.211 3.383
O 8.780 11.245 7.698
O 3.138 5.490 5.247
O 2.567 6.281 2.273
O 8.209 4.385 2.042
O 8.716 7.419 6.358
O 3.075 9.315 6.588
O 10.460 6.298 2.473
O 4.818 4.368 1.842
O 0.824 7.402 6.158
O 6.466 9.332 6.788
O 10.569 2.523 1.344
O 4.927 8.144 2.972
O 0.715 11.178 7.287
O 6.356 5.557 5.659
O 8.427 0.937 0.840
O 2.785 9.729 3.476
O 2.857 12.763 7.791
O 8.499 3.971 5.155
O 7.885 3.258 2.531
O 2.243 7.408 1.784
O 3.399 10.443 6.099
O 9.041 6.292 6.847
O 6.475 5.554 2.754
O 0.833 5.113 1.561
O 4.808 8.147 5.876
O 10.450 8.588 7.069
! * V: 743.2 Å³/cell
! * space-group type: No. 14



(2)
! HoIO9, optimized geometry, DFT PBE-GGA; values from VASP
&SYSTEM
  ibrav = 0, nat = 44, ntyp = 3
/
ATOMIC_SPECIES
Ho 164.93 Ho.upf
I 126.90 I.upf
O 16.00 O.upf
CELL_PARAMETERS angstrom
-10.205 -2.692 -2.253
1.705 -6.427 -0.043
-0.380 -5.701 8.531
ATOMIC_POSITIONS angstrom
Ho -0.586 -3.446 2.437
Ho -4.712 -7.630 0.281
Ho -8.294 -11.375 3.798
Ho -4.167 -7.191 5.954
I -1.750 -8.705 1.379
I -8.529 -3.684 0.239
I -7.130 -6.115 4.855
I -0.350 -11.137 5.996
O -4.292 -1.937 -0.313
O -8.009 -10.986 1.485
O -4.587 -12.884 6.548
O -0.871 -3.835 4.750
O -4.485 -4.331 1.804
O -8.454 -8.760 -0.773
O -4.395 -10.490 4.431
O -0.426 -6.061 7.008
O -1.916 -2.992 0.621
O -6.264 -8.844 1.461
O -6.964 -11.829 5.614
O -2.616 -5.977 4.774
O -1.319 -5.764 2.079
O -6.525 -5.983 0.077
O -7.561 -9.057 4.156
O -2.354 -8.838 6.158
O 0.209 -6.418 4.020
O -4.863 -4.487 -1.160
O -9.088 -8.402 2.215
O -4.016 -10.333 7.395
O -9.235 -4.924 -0.972
O -3.370 -8.079 2.076
O 0.356 -9.897 7.207
O -5.510 -6.742 4.158
O -7.283 -2.909 -0.921
O -0.860 -8.917 3.010
O -1.596 -11.912 7.155
O -8.019 -5.904 3.224
O -6.875 -5.085 0.944
O -0.829 -6.625 1.243
O -2.004 -9.735 5.291
O -8.051 -8.196 4.992
O -3.934 -5.404 1.366
O -8.699 -7.607 -0.268
O -4.945 -9.417 4.869
O -0.181 -7.214 6.502
! * V: 628.6 Å³/cell
! * space-group type: No. 14



(2) is the most stable structure; the next one sits 0.108 eV/atom above it.